Record 1
A geometry-optimized Ba2SrMnO6 structure. Source: the Materials Project database, functional PBE+U.

Structure (POSCAR):
```
Ba2SrMnO6
1.0
0.000 -4.303 -4.303
4.303 0.000 -4.303
4.303 -4.303 0.000
Sr Mn O Ba
1 1 6 2
Cartesian
4.303 -4.303 -4.303
0.000 0.000 0.000
6.699 -4.303 -4.303
4.303 -4.303 -6.699
4.303 -4.303 -1.907
4.303 -6.699 -4.303
1.907 -4.303 -4.303
4.303 -1.907 -4.303
2.152 -2.152 -2.152
6.455 -6.455 -6.455
```

Computed properties:
**Energy of formation from the pure elements**: -2.404 eV/atom
**Space-group type**: Fm-3m
**Size of the total moment**: 1.0 μB per cell

Record 2
A geometry-optimized Ba2CoO4 structure. Source: the Materials Project database, functional PBE+U.

Structure (POSCAR):
```
Ba2CoO4
1.0
7.699 0.000 0.000
0.000 6.110 0.000
0.000 5.521 10.520
O Co Ba
16 4 8
Cartesian
7.654 4.118 4.506
5.623 5.852 7.198
5.177 8.773 6.703
2.522 2.857 3.817
6.303 9.711 9.746
1.396 1.919 0.774
1.774 8.538 8.582
5.925 3.092 1.938
3.805 4.752 0.754
6.372 6.013 1.443
5.246 6.951 4.486
1.327 5.618 9.077
2.453 4.679 6.034
3.894 6.878 9.766
0.045 7.513 6.014
2.076 5.778 3.322
5.984 7.254 6.128
1.715 4.377 4.392
2.135 7.137 9.652
5.564 4.493 0.868
3.848 10.359 8.502
3.851 1.272 2.018
6.526 7.019 9.697
2.677 7.372 6.083
7.698 4.032 7.278
5.022 4.258 4.437
0.001 7.598 3.242
1.173 4.612 0.823
```

Computed properties:
**Energy of formation from the pure elements**: -2.333 eV/atom
**Space-group type**: P2_1/c

Record 3
A geometry-optimized Sr2VMoO6 structure. Source: the Materials Project database, functional PBE+U.

Structure (POSCAR):
```
Sr2VMoO6
1.0
1.523 -5.343 1.112
2.175 -0.498 -5.209
8.949 -0.334 0.665
V O Sr Mo
2 12 4 2
Cartesian
8.946 -0.335 0.664
10.795 -3.256 -1.385
7.186 -0.977 -0.010
6.324 -3.085 -1.715
9.875 -1.797 -0.360
2.023 -1.646 -3.710
7.089 -5.713 -1.225
7.403 -3.385 -4.258
4.478 -0.169 0.333
9.032 -3.896 -2.059
1.679 -4.194 -0.386
11.720 -4.713 -2.407
5.463 -5.199 -3.421
3.617 -2.278 -1.373
8.077 -3.601 0.597
8.404 -1.179 -2.564
4.245 -4.996 -0.868
4.571 -2.575 -4.029
7.249 -4.548 -2.740
5.399 -1.627 -0.692
```

Computed properties:
**Energy of formation from the pure elements**: -2.756 eV/atom
**Excess energy over the best structure of this formula in the dataset**: 0 meV per atom
**Space-group type**: Fmm2
**Size of the total moment**: 0.0 μB per cell

Record 4
A geometry-optimized NaMnO2 structure. Source: the Materials Project database, functional PBE+U.

Structure (POSCAR):
```
NaMnO2
1.0
2.920 0.001 -0.003
-1.462 2.858 0.003
-0.025 0.037 21.848
O Na Mn
8 4 4
Cartesian
1.450 0.732 6.573
-0.031 2.083 1.110
0.010 2.227 12.039
1.446 0.737 17.498
1.408 0.687 20.731
1.473 0.795 9.812
-0.012 2.151 4.353
-0.014 2.169 15.276
1.457 1.194 13.655
1.430 1.100 2.730
-0.032 1.715 19.117
0.009 1.780 8.192
-1.474 2.882 16.390
0.013 0.088 10.928
1.405 2.828 21.844
2.911 0.013 5.461
```

Computed properties:
**Energy of formation from the pure elements**: -2.006 eV/atom
**Excess energy over the best structure of this formula in the dataset**: 24 meV per atom
**Space-group type**: P1
**Size of the total moment**: 16.0 μB per cell

Record 5
A geometry-optimized Li7Mn5O12 structure. Source: the Materials Project database, functional PBE+U.

Structure (POSCAR):
```
Li7Mn5O12
1.0
-3.490 1.840 3.222
-5.625 -5.144 -1.647
1.918 -5.083 2.591
O Li Mn
12 7 5
Cartesian
-5.901 -1.792 1.690
-7.422 -4.271 1.536
-1.300 -6.599 2.479
-4.858 -4.186 -0.141
-2.339 -4.201 4.308
-3.428 -1.800 3.015
-0.754 -1.355 1.225
0.225 -4.115 2.632
-3.769 -6.583 1.148
-6.443 -7.031 2.942
-4.883 -4.256 2.914
-2.318 -4.131 1.252
-5.628 -5.541 1.261
-3.096 -5.461 2.686
-2.532 -0.702 4.517
-1.571 -2.845 2.905
-2.488 -0.351 1.553
-4.101 -2.925 1.480
-4.711 -8.037 2.614
-4.056 -3.207 4.370
-9.115 -3.305 1.576
-5.016 -0.710 3.109
-2.181 -7.677 1.058
-3.140 -5.178 -0.201
```

Computed properties:
**Energy of formation from the pure elements**: -2.131 eV/atom
**Excess energy over the best structure of this formula in the dataset**: 26 meV per atom
**Space-group type**: P-1
**Size of the total moment**: 18.0 μB per cell

Record 6
A geometry-optimized Eu2MoW2O12 structure. Source: the Materials Project database, functional PBE+U.

Structure (POSCAR):
```
Eu2MoW2O12
1.0
-4.115 5.579 1.507
-1.521 -2.756 -6.358
-10.088 -5.309 2.300
O W Eu Mo
24 4 4 2
Cartesian
-7.889 -3.730 -3.899
-11.623 -0.843 -1.603
-9.807 0.455 0.019
-6.347 -2.871 0.350
-6.739 -0.360 -1.148
-9.540 -3.029 1.400
-5.082 1.118 0.784
-11.328 -6.397 -2.206
-9.377 0.384 -2.900
-6.184 0.543 -3.950
-4.397 3.910 -0.345
-1.480 0.353 -0.263
-14.244 -2.840 -2.287
-9.049 -4.998 -1.332
-11.578 -3.673 -0.619
-7.835 1.243 1.348
-5.917 -2.942 -2.569
-4.102 -1.643 -0.947
-4.146 1.186 -1.931
-6.675 2.511 -1.218
-3.659 -0.437 -4.479
-10.642 -3.605 -3.334
-12.065 -2.049 1.929
-8.985 -2.127 -1.402
-4.862 0.930 -5.152
-10.862 -3.417 2.602
-5.060 -3.196 -0.845
-10.664 0.709 -1.705
-13.296 -1.836 -0.235
-7.601 -1.275 -3.360
-2.428 -0.651 -2.316
-8.123 -1.212 0.810
-10.072 -3.573 -1.646
-5.652 1.086 -0.905
```

Computed properties:
**Energy of formation from the pure elements**: -2.453 eV/atom
**Space-group type**: C2/c
**Size of the total moment**: 24.0 μB per cell

Record 7
A geometry-optimized MoO3 structure. Source: the Materials Project database, functional PBE+U.

Structure (POSCAR):
```
MoO3
1.0
-4.323 3.980 9.649
8.010 -6.737 8.338
9.055 9.329 -0.334
O Mo
75 25
Cartesian
3.007 -0.193 10.005
7.472 6.942 2.750
9.787 3.892 7.138
1.469 9.117 9.484
12.648 5.132 16.009
7.035 4.816 14.772
9.640 8.178 1.776
1.138 2.512 1.585
9.013 -0.912 13.361
7.451 0.881 14.657
5.819 -0.076 17.037
3.707 3.182 3.407
4.675 5.851 2.314
3.923 -2.878 9.110
7.889 2.858 12.957
10.951 2.799 9.612
4.577 1.939 9.599
8.052 0.597 11.393
2.694 1.725 7.062
-3.015 4.065 9.636
8.285 6.219 7.116
8.301 7.455 9.967
1.577 5.270 11.504
10.739 6.187 10.821
6.539 10.486 9.411
9.335 6.736 4.658
8.183 10.137 12.901
12.523 5.799 12.956
13.470 4.540 10.693
7.306 5.525 11.940
3.769 5.885 4.928
5.565 1.078 7.043
5.073 3.479 13.125
8.143 4.343 5.041
0.906 -0.104 4.975
9.856 -1.326 10.646
4.615 0.042 4.435
9.077 7.354 12.687
13.696 1.017 8.904
1.135 2.777 4.818
-0.182 5.904 9.668
4.274 0.937 14.975
4.484 6.245 12.708
8.342 -1.162 8.312
10.241 4.881 14.388
7.432 -0.431 5.339
3.161 0.834 2.137
-1.069 4.819 6.964
11.100 6.192 6.721
7.004 4.328 2.287
5.879 7.662 4.958
1.293 6.173 7.803
3.824 10.496 9.948
8.726 4.665 9.924
-0.314 1.693 6.924
6.085 -0.220 9.680
7.298 -2.469 10.512
7.649 9.552 3.389
8.416 1.882 8.837
12.317 3.013 13.950
4.690 -1.658 11.569
0.723 1.430 10.437
4.607 1.074 12.226
4.831 3.802 7.429
5.737 -2.165 6.790
2.138 1.643 13.336
2.412 3.864 9.098
10.935 4.301 4.534
6.144 2.341 4.329
3.593 -0.957 6.895
3.346 6.414 9.690
13.352 5.126 5.813
0.224 2.460 10.892
4.404 7.435 7.267
10.351 1.431 13.183
9.363 5.498 6.015
9.465 3.265 8.871
1.084 1.472 5.944
4.311 2.229 7.855
4.277 7.697 5.586
2.195 1.540 0.675
6.218 6.219 1.116
8.279 8.670 13.781
3.316 5.079 3.314
3.758 2.078 13.807
4.552 0.041 10.731
7.559 3.314 3.624
1.921 5.483 9.497
7.900 -0.966 9.958
5.642 -0.510 5.941
8.655 8.169 3.364
5.233 11.559 9.547
12.714 6.038 10.899
7.373 -0.438 16.021
4.679 1.551 3.167
3.806 -2.674 7.331
8.656 0.755 13.099
11.949 4.737 14.326
6.760 4.211 13.195
8.865 6.257 11.026
```

Computed properties:
**Energy of formation from the pure elements**: -1.399 eV/atom
**Space-group type**: P1
**Size of the total moment**: 6.0 μB per cell

Record 8
A geometry-optimized CaVO3 structure. Source: the Materials Project database, functional PBE+U.

Structure (POSCAR):
```
CaVO3
1.0
-3.597 0.394 3.900
1.831 7.481 0.934
-3.814 1.390 -3.657
O V Ca
12 4 4
Cartesian
-5.801 1.701 0.170
0.221 7.563 1.007
-1.932 8.285 -0.555
-2.710 5.107 -0.951
-4.812 3.400 -1.693
-3.936 6.697 2.410
-1.643 2.567 -1.233
-5.023 4.879 0.567
-3.648 0.979 1.732
-0.557 4.385 0.610
-0.767 5.864 2.870
-2.870 4.157 2.128
-4.697 5.327 -1.240
-3.673 8.569 3.005
-4.588 4.829 2.539
-3.781 9.067 -0.773
-2.287 6.939 -2.769
-3.293 2.325 3.946
-2.139 6.437 0.967
-3.441 2.827 0.210
```

Computed properties:
**Energy of formation from the pure elements**: -2.936 eV/atom
**Space-group type**: Pnma